Computed, not measured: a relaxed YPt crystal at the PBE level of DFT.

Unit cell a=4.5542 b=5.5944 c=7.0574 alpha=90.00 beta=90.00 gamma=90.00
With the nearest neighbours (Å) after each atom.
Atoms (fractional coordinates):
Y  0.2500  0.6404  0.1813  7 Pt 2.90-3.03
Y  0.7500  0.3596  0.8187  7 Pt 2.90-3.03
Y  0.7500  0.1404  0.3187  7 Pt 2.90-3.03
Y  0.2500  0.8596  0.6813  7 Pt 2.90-3.03
Pt  0.2500  0.1526  0.0429  7 Y 2.90-3.03, 2 Pt 2.91
Pt  0.7500  0.8474  0.9571  7 Y 2.90-3.03, 2 Pt 2.91
Pt  0.7500  0.6526  0.4571  7 Y 2.90-3.03, 2 Pt 2.91
Pt  0.2500  0.3474  0.5429  7 Y 2.90-3.03, 2 Pt 2.91

Results
formation energy from the elements: -28.971 kcal/mol of atoms
space-group type: No. 62
final energy: -7.53 eV/atom